[1]
# Zn2PdRh r2SCAN optimized geometry
data_Zn2PdRh
_space_group_name_H-M_alt 'P 1'
_space_group_IT_number 1
_cell_length_a 4.253
_cell_length_b 4.253
_cell_length_c 4.253
_cell_angle_alpha 60.00
_cell_angle_beta 60.00
_cell_angle_gamma 60.00
loop_
_space_group_symop_operation_xyz
'x,y,z'
loop_
_atom_site_label
_atom_site_type_symbol
_atom_site_fract_x
_atom_site_fract_y
_atom_site_fract_z
Pd1 Pd 0.250 0.250 0.250
Rh1 Rh 0.750 0.750 0.750
Zn1 Zn 0.000 0.000 0.000
Zn2 Zn 0.500 0.500 0.500
# **Space-group type**: Fm-3m (225)
# **Mass density**: 10382 kg/m³
# **Crystal system**: cubic
# **Formation enthalpy at 0 K**: -540 meV per atom
# **Total moment**: 0.00 μB per cell

***

[2]
# Sc2PdRu r2SCAN optimized geometry
data_Sc2PdRu
_space_group_name_H-M_alt 'P 1'
_space_group_IT_number 1
_cell_length_a 4.581
_cell_length_b 4.581
_cell_length_c 4.581
_cell_angle_alpha 60.00
_cell_angle_beta 60.00
_cell_angle_gamma 60.00
loop_
_space_group_symop_operation_xyz
'x,y,z'
loop_
_atom_site_label
_atom_site_type_symbol
_atom_site_fract_x
_atom_site_fract_y
_atom_site_fract_z
Pd1 Pd 0.250 0.250 0.250
Ru1 Ru 0.750 0.750 0.750
Sc1 Sc 0.500 0.500 0.500
Sc2 Sc 0.000 0.000 0.000
# **Space-group type**: Fm-3m (225)
# **Mass density**: 7266 kg/m³
# **Crystal system**: cubic
# **Formation enthalpy at 0 K**: -797 meV per atom
# **Total moment**: 0.00 μB per cell

***

[3]
# Y2PdRu r2SCAN optimized geometry
data_Y2PdRu
_space_group_name_H-M_alt 'P 1'
_space_group_IT_number 1
_cell_length_a 4.869
_cell_length_b 4.869
_cell_length_c 4.869
_cell_angle_alpha 60.00
_cell_angle_beta 60.00
_cell_angle_gamma 60.00
loop_
_space_group_symop_operation_xyz
'x,y,z'
loop_
_atom_site_label
_atom_site_type_symbol
_atom_site_fract_x
_atom_site_fract_y
_atom_site_fract_z
Ru1 Ru 0.750 0.750 0.750
Y1 Y 0.500 0.500 0.500
Y2 Y 0.000 0.000 0.000
Pd1 Pd 0.250 0.250 0.250
# **Space-group type**: Fm-3m (225)
# **Mass density**: 7839 kg/m³
# **Crystal system**: cubic
# **Formation enthalpy at 0 K**: -629 meV per atom
# **Total moment**: 0.00 μB per cell

***

[4]
# Pd16S7 r2SCAN optimized geometry
data_Pd16S7
_space_group_name_H-M_alt 'P 1'
_space_group_IT_number 1
_cell_length_a 7.788
_cell_length_b 7.788
_cell_length_c 7.788
_cell_angle_alpha 109.47
_cell_angle_beta 109.47
_cell_angle_gamma 109.47
loop_
_space_group_symop_operation_xyz
'x,y,z'
loop_
_atom_site_label
_atom_site_type_symbol
_atom_site_fract_x
_atom_site_fract_y
_atom_site_fract_z
S1 S 0.000 0.500 0.500
S2 S 0.500 0.500 0.000
S3 S 0.500 0.000 0.500
S4 S 0.000 0.687 0.000
S5 S 0.000 0.000 0.687
S6 S 0.687 0.000 0.000
S7 S 0.313 0.313 0.313
Pd1 Pd 0.338 0.752 0.752
Pd2 Pd 0.768 0.768 0.768
Pd3 Pd 0.248 0.000 0.586
Pd4 Pd 0.752 0.752 0.338
Pd5 Pd 0.586 0.000 0.248
Pd6 Pd 0.000 0.586 0.248
Pd7 Pd 0.248 0.586 0.000
Pd8 Pd 0.414 0.414 0.662
Pd9 Pd 0.752 0.338 0.752
Pd10 Pd 0.000 0.248 0.586
Pd11 Pd 0.232 0.000 0.000
Pd12 Pd 0.000 0.000 0.232
Pd13 Pd 0.586 0.248 0.000
Pd14 Pd 0.414 0.662 0.414
Pd15 Pd 0.662 0.414 0.414
Pd16 Pd 0.000 0.232 0.000
# **Space-group type**: I-43m (217)
# **Mass density**: 8802 kg/m³
# **Crystal system**: cubic
# **Formation enthalpy at 0 K**: -307 meV per atom
# **Total moment**: 0.00 μB per cell